# 1
Material: Ce2FeSi3
Method: DFT, PBE
State: optimized geometry

Cell lengths 4.0420, 4.0420, 8.1219 Å; angles 90.00, 90.00, 120.00 degrees
Space group P-6m2 (No. 187)
One atom of each set of equivalent atoms:
Ce 0.0000 0.0000 0.2386 [2 per cell]
Fe 0.3333 0.6667 0.0000 [1 per cell]
Si 0.3333 0.6667 0.5000 [1 per cell]
Si 0.6667 0.3333 0.0000 [1 per cell]
Si 0.6667 0.3333 0.5000 [1 per cell]

Results
Energy: -40.0 eV for the cell shown

---

# 2
Material: PrSe2
Method: DFT, PBE
State: optimized geometry

Cell lengths 4.187, 4.187, 8.668 Å; angles 90.00, 90.00, 90.00 degrees
Space group P4/nmm (No. 129, origin choice 2)
One atom of each set of equivalent atoms:
Pr 0.250 0.250 0.226 [2 per cell]
Se 0.250 0.250 0.867 [2 per cell]
Se 0.250 0.750 0.500 [2 per cell]

Results
Energy: -33.2 eV for the cell shown

---

# 3
Material: NdLuIn2
Method: DFT, PBE
State: optimized geometry

Cell lengths 7.590, 7.590, 7.590 Å; angles 90.00, 90.00, 90.00 degrees
Space group Fm-3m (No. 225)
One atom of each set of equivalent atoms:
Nd 0.000 0.000 0.000 [4 per cell]
Lu 0.000 0.000 0.500 [4 per cell]
In 0.250 0.250 0.250 [8 per cell]

Results
Energy: -66.1 eV for the cell shown

---

# 4
Material: CdSeO4
Method: DFT, PBE
State: optimized geometry

Cell lengths 9.643, 7.446, 5.236 Å; angles 90.00, 90.00, 90.00 degrees
Space group Pnma (No. 62)
One atom of each set of equivalent atoms:
Cd 0.000 0.000 0.000 [4 per cell]
Se 0.182 0.250 0.477 [4 per cell]
O 0.128 0.250 0.783 [4 per cell]
O 0.131 0.060 0.341 [8 per cell]
O 0.142 0.750 0.952 [4 per cell]

Results
Energy: -117.4 eV for the cell shown

---

# 5
Material: MgAl2H8
Method: DFT, PBE
State: optimized geometry

Cell lengths 4.619, 4.796, 6.465 Å; angles 81.08, 75.55, 62.80 degrees
Space group P1 (No. 1)
One atom of each set of equivalent atoms:
Mg 0.000 0.000 0.000 [1 per cell]
Al 0.425 0.370 0.709 [1 per cell]
Al 0.575 0.631 0.292 [1 per cell]
H 0.086 0.669 0.813 [1 per cell]
H 0.244 0.690 0.205 [1 per cell]
H 0.365 0.063 0.841 [1 per cell]
H 0.460 0.289 0.465 [1 per cell]
H 0.541 0.712 0.535 [1 per cell]
H 0.633 0.938 0.158 [1 per cell]
H 0.753 0.312 0.797 [1 per cell]
H 0.913 0.332 0.187 [1 per cell]

Results
Energy: -36.4 eV for the cell shown
Polymorph energy (0 for the lowest one): 6 meV/atom

---

# 6
Material: CdH9C3SBrCl2O
Method: DFT, PBE
State: optimized geometry

Cell lengths 6.950, 10.765, 13.926 Å; angles 90.00, 90.00, 90.00 degrees
Space group P2_12_12_1 (No. 19)
One atom of each set of equivalent atoms:
Cd 0.102 0.250 0.000 [4 per cell]
H 0.009 0.120 0.390 [4 per cell]
H 0.009 0.380 0.389 [4 per cell]
H 0.052 0.750 0.743 [4 per cell]
H 0.069 0.166 0.661 [4 per cell]
H 0.069 0.335 0.661 [4 per cell]
H 0.127 0.375 0.273 [4 per cell]
H 0.128 0.125 0.273 [4 per cell]
H 0.232 0.037 0.371 [4 per cell]
H 0.232 0.463 0.371 [4 per cell]
C 0.011 0.750 0.819 [4 per cell]
C 0.147 0.119 0.351 [4 per cell]
C 0.147 0.381 0.351 [4 per cell]
S 0.222 0.750 0.889 [4 per cell]
Br 0.148 0.928 0.585 [4 per cell]
Cl 0.147 0.752 0.355 [4 per cell]
Cl 0.148 0.588 0.579 [4 per cell]
O 0.184 0.750 0.992 [4 per cell]

Results
Energy: -323.9 eV for the cell shown

---

# 7
Material: CuCl
Method: DFT, PBE
State: optimized geometry

Cell lengths 3.8343, 3.8343, 9.2057 Å; angles 90.00, 90.00, 120.00 degrees
Space group R3m (No. 160, hexagonal axes)
One atom of each set of equivalent atoms:
Cu 0.0000 0.0000 0.0000 [3 per cell]
Cl 0.0000 0.0000 0.2584 [3 per cell]

Results
Energy: -20.1 eV for the cell shown

---

# 8
Material: LaYNi10
Method: DFT, PBE
State: optimized geometry

Cell lengths 3.956, 4.923, 8.495 Å; angles 90.00, 90.00, 90.00 degrees
Space group Pmmm (No. 47)
One atom of each set of equivalent atoms:
La 0.000 0.000 0.000 [1 per cell]
Y 0.000 0.500 0.500 [1 per cell]
Ni 0.000 0.000 0.337 [2 per cell]
Ni 0.000 0.500 0.170 [2 per cell]
Ni 0.500 0.000 0.500 [1 per cell]
Ni 0.500 0.253 0.256 [4 per cell]
Ni 0.500 0.500 0.000 [1 per cell]

Results
Energy: -72.8 eV for the cell shown

---

# 9
Material: CdAs2C4SN4O2F12
Method: DFT, PBE
State: optimized geometry

Cell lengths 15.027, 8.446, 13.174 Å; angles 90.00, 90.00, 90.00 degrees
Space group Pnma (No. 62)
One atom of each set of equivalent atoms:
Cd 0.190 0.250 0.109 [4 per cell]
As 0.085 0.250 0.860 [4 per cell]
As 0.136 0.250 0.411 [4 per cell]
C 0.031 0.750 0.817 [4 per cell]
C 0.111 0.750 0.765 [4 per cell]
C 0.196 0.668 0.134 [8 per cell]
S 0.107 0.750 0.436 [4 per cell]
N 0.038 0.250 0.143 [4 per cell]
N 0.177 0.750 0.718 [4 per cell]
N 0.197 0.531 0.130 [8 per cell]
O 0.124 0.750 0.329 [4 per cell]
O 0.184 0.750 0.504 [4 per cell]
F 0.018 0.750 0.075 [4 per cell]
F 0.020 0.250 0.386 [4 per cell]
F 0.046 0.098 0.780 [8 per cell]
F 0.120 0.101 0.504 [8 per cell]
F 0.127 0.105 0.949 [8 per cell]
F 0.152 0.104 0.316 [8 per cell]
F 0.188 0.250 0.797 [4 per cell]
F 0.248 0.750 0.937 [4 per cell]

Results
Energy: -588.4 eV for the cell shown

---

# 10
Material: La7CoI12
Method: DFT, PBE
State: optimized geometry

Cell lengths 16.2761, 16.2761, 11.0731 Å; angles 90.00, 90.00, 120.00 degrees
Space group R3 (No. 146, hexagonal axes)
One atom of each set of equivalent atoms:
La 0.0000 0.0000 0.0000 [3 per cell]
La 0.0439 0.8856 0.3654 [9 per cell]
La 0.1569 0.0435 0.6608 [9 per cell]
Co 0.0000 0.0000 0.5109 [3 per cell]
I 0.0211 0.4337 0.1757 [9 per cell]
I 0.0529 0.8633 0.8532 [9 per cell]
I 0.1003 0.7457 0.1837 [9 per cell]
I 0.1835 0.0513 0.1702 [9 per cell]

Results
Energy: -258.8 eV for the cell shown

---

# 11
Material: LiSiBiO4
Method: DFT, PBE
State: optimized geometry

Cell lengths 10.376, 5.393, 14.892 Å; angles 90.00, 90.00, 90.00 degrees
Space group Pca2_1 (No. 29)
One atom of each set of equivalent atoms:
Li 0.022 0.022 0.000 [4 per cell]
Li 0.226 0.496 0.763 [4 per cell]
Si 0.025 0.462 0.382 [4 per cell]
Si 0.232 0.014 0.632 [4 per cell]
Bi 0.034 0.961 0.249 [4 per cell]
Bi 0.230 0.513 0.019 [4 per cell]
O 0.002 0.163 0.387 [4 per cell]
O 0.038 0.409 0.975 [4 per cell]
O 0.041 0.411 0.792 [4 per cell]
O 0.077 0.044 0.614 [4 per cell]
O 0.181 0.529 0.381 [4 per cell]
O 0.197 0.273 0.162 [4 per cell]
O 0.198 0.913 0.038 [4 per cell]
O 0.236 0.816 0.213 [4 per cell]

Results
Energy: -364.6 eV for the cell shown
Polymorph energy (0 for the lowest one): 53 meV/atom

---

# 12
Material: Rb3Cr
Method: DFT, PBE
State: optimized geometry

Cell lengths 6.183, 6.183, 6.183 Å; angles 90.00, 90.00, 90.00 degrees
Space group Pm-3m (No. 221)
One atom of each set of equivalent atoms:
Rb 0.000 0.000 0.500 [3 per cell]
Cr 0.500 0.500 0.500 [1 per cell]

Results
Energy: -9.7 eV for the cell shown
Polymorph energy (0 for the lowest one): 20 meV/atom